Entry 1:
A geometry-optimized Hf2Si4Mo3 structure. Source: the Materials Project database, functional r²SCAN.

```
Hf2Si4Mo3
1.0
6.546 0.000 0.000
0.000 6.738 0.000
0.000 0.000 12.521
Hf Si Mo
8 16 12
Cartesian
6.504 1.144 1.166 Hf
0.042 5.593 11.355 Hf
3.315 4.513 11.355 Hf
0.042 5.593 7.426 Hf
3.231 2.224 1.166 Hf
6.504 1.144 5.095 Hf
3.231 2.224 5.095 Hf
3.315 4.513 7.426 Hf
0.213 0.826 9.391 Si
6.333 5.912 3.130 Si
3.060 4.195 3.130 Si
3.486 2.543 9.391 Si
1.961 5.817 9.391 Si
4.584 0.920 3.130 Si
1.312 2.448 3.130 Si
5.234 4.289 9.391 Si
1.087 3.096 6.800 Si
5.458 3.642 5.721 Si
2.186 6.464 5.721 Si
5.458 3.642 0.540 Si
4.360 0.273 6.800 Si
1.087 3.096 11.981 Si
4.360 0.273 11.981 Si
2.186 6.464 0.540 Si
1.100 3.468 9.391 Mo
5.446 3.269 3.130 Mo
2.173 0.100 3.130 Mo
4.373 6.638 9.391 Mo
2.160 1.108 7.800 Mo
4.386 5.629 4.721 Mo
1.113 4.477 4.721 Mo
4.386 5.629 1.540 Mo
5.433 2.260 7.800 Mo
2.160 1.108 10.981 Mo
5.433 2.260 10.981 Mo
1.113 4.477 1.540 Mo
```

Results
Calculated formation energy = -687 meV per atom
Final energy = -1.713 Ry/atom

---

Entry 2:
A geometry-optimized HfZrMo4 structure. Source: the Materials Project database, functional r²SCAN.

```
HfZrMo4
1.0
0.000 3.789 3.789
3.789 0.000 3.789
3.789 3.789 0.000
Hf Zr Mo
1 1 4
Cartesian
1.894 1.894 1.894 Hf
0.000 0.000 0.000 Zr
2.842 2.842 4.736 Mo
2.842 4.736 2.842 Mo
4.736 2.842 2.842 Mo
4.736 4.736 4.736 Mo
```

Results
Calculated formation energy = -156 meV per atom
Final energy = -2.121 Ry/atom

---

Entry 3:
A geometry-optimized Hf2N structure. Source: the Materials Project database, functional r²SCAN.

```
Hf2N
1.0
5.313 0.000 0.000
0.000 5.313 0.000
0.000 0.000 3.242
Hf N
4 2
Cartesian
1.570 1.570 0.000 Hf
3.743 3.743 0.000 Hf
4.227 1.086 1.621 Hf
1.086 4.227 1.621 Hf
0.000 0.000 0.000 N
2.657 2.657 1.621 N
```

Results
Calculated formation energy = -1408 meV per atom
Final energy = -2.540 Ry/atom

---

Copy entry 2 word for word.
A geometry-optimized HfZrMo4 structure. Source: the Materials Project database, functional r²SCAN.

```
HfZrMo4
1.0
0.000 3.789 3.789
3.789 0.000 3.789
3.789 3.789 0.000
Hf Zr Mo
1 1 4
Cartesian
1.894 1.894 1.894 Hf
0.000 0.000 0.000 Zr
2.842 2.842 4.736 Mo
2.842 4.736 2.842 Mo
4.736 2.842 2.842 Mo
4.736 4.736 4.736 Mo
```

Results
Calculated formation energy = -156 meV per atom
Final energy = -2.121 Ry/atom

---

What is the final energy in the first record? -1.713 Ry/atom

---

Look up the calculated formation energy of the second one. -156 meV per atom

---

Among the records above, which one has the highest calculated formation energy? HfZrMo4